## Mn2Co3Te3O16 (GGA+U)

Data for a relaxed structure of Mn2Co3Te3O16.

Geometry as POSCAR:
```
Mn2Co3Te3O16
1.0
5.962 0.000 0.000
2.936 5.208 0.000
0.054 -0.017 9.300
Mn Co Te O
2 3 3 16
Direct
0.000 0.000 0.000
0.328 0.326 0.464
0.310 0.810 0.262
0.487 0.486 0.766
0.811 0.308 0.262
0.488 0.990 0.761
0.814 0.808 0.261
0.991 0.487 0.761
0.127 0.122 0.149
0.134 0.680 0.144
0.161 0.618 0.646
0.172 0.170 0.634
0.308 0.308 0.884
0.334 0.830 0.870
0.488 0.966 0.368
0.495 0.493 0.371
0.620 0.159 0.646
0.645 0.642 0.158
0.663 0.663 0.650
0.689 0.129 0.141
0.820 0.820 0.878
0.829 0.336 0.870
0.967 0.485 0.369
0.980 0.980 0.368
```

Values from the calculation:
mass density: 5322 kg/m³
symmetry: P1, No. 1
E: -5.94 eV/atom
total moment: 15.00 μB/cell



## Mn3Co3Te2O12 (GGA+U)

Data for a relaxed structure of Mn3Co3Te2O12.

Geometry as POSCAR:
```
Mn3Co3Te2O12
1.0
6.220 0.000 0.000
-0.036 6.240 0.000
-0.015 -0.031 6.253
Mn Co Te O
3 3 2 12
Direct
0.000 0.000 0.000
0.184 0.514 0.301
0.486 0.699 0.815
0.383 0.205 0.683
0.693 0.390 0.198
0.873 0.899 0.508
0.441 0.955 0.255
0.932 0.446 0.747
0.013 0.149 0.679
0.142 0.865 0.303
0.234 0.509 0.681
0.353 0.002 0.957
0.397 0.254 0.339
0.489 0.656 0.167
0.525 0.913 0.554
0.634 0.376 0.824
0.741 0.040 0.215
0.863 0.522 0.451
0.866 0.748 0.808
0.992 0.382 0.048
```

Values from the calculation:
mass density: 5398 kg/m³
symmetry: P1, No. 1
E: -6.48 eV/atom
total moment: 1.99 μB/cell



## Mn3Co2Te3O16 (GGA+U)

Data for a relaxed structure of Mn3Co2Te3O16.

Geometry as POSCAR:
```
Mn3Co2Te3O16
1.0
5.353 -3.038 0.000
5.353 3.038 0.000
-0.122 0.000 9.200
Mn Co Te O
3 2 3 16
Direct
0.000 0.000 0.000
0.168 0.668 0.503
0.668 0.168 0.503
0.157 0.157 0.698
0.486 0.486 0.231
0.001 0.497 0.001
0.497 0.001 0.001
0.666 0.666 0.500
0.150 0.662 0.104
0.186 0.186 0.126
0.314 0.314 0.877
0.324 0.875 0.888
0.353 0.792 0.379
0.358 0.358 0.392
0.508 0.508 0.616
0.510 0.987 0.610
0.662 0.150 0.104
0.673 0.673 0.114
0.792 0.353 0.379
0.816 0.816 0.884
0.826 0.826 0.394
0.875 0.324 0.888
0.987 0.510 0.610
0.989 0.989 0.605
```

Values from the calculation:
mass density: 5115 kg/m³
symmetry: Cm, No. 8
E: -6.11 eV/atom
total moment: 17.00 μB/cell



## MnCo2TeO6 (GGA+U)

Data for a relaxed structure of MnCo2TeO6.

Geometry as POSCAR:
```
MnCo2TeO6
1.0
6.191 0.000 0.000
-0.034 6.206 0.000
-0.040 -0.012 6.231
Mn Co Te O
2 4 2 12
Direct
0.000 0.000 0.000
0.306 0.510 0.184
0.107 0.128 0.492
0.491 0.821 0.694
0.617 0.307 0.802
0.796 0.617 0.316
0.052 0.564 0.746
0.557 0.064 0.253
0.003 0.650 0.045
0.096 0.470 0.450
0.149 0.862 0.695
0.255 0.134 0.190
0.355 0.518 0.834
0.484 0.131 0.552
0.491 0.764 0.323
0.618 0.999 0.950
0.630 0.361 0.177
0.752 0.614 0.654
0.855 0.989 0.323
0.960 0.266 0.793
```

Values from the calculation:
mass density: 5500 kg/m³
symmetry: P1, No. 1
E: -6.29 eV/atom
total moment: 22.00 μB/cell



## Ti3Mn2Co3O16 (GGA+U)

Data for a relaxed structure of Ti3Mn2Co3O16.

Geometry as POSCAR:
```
Ti3Mn2Co3O16
1.0
4.977 -2.914 0.000
4.977 2.914 0.000
-0.221 0.000 8.895
Ti Mn Co O
3 2 3 16
Direct
0.000 0.000 0.000
0.167 0.671 0.501
0.671 0.167 0.501
0.177 0.177 0.728
0.510 0.510 0.222
0.004 0.508 0.000
0.508 0.004 0.000
0.671 0.671 0.494
0.015 0.504 0.607
0.016 0.016 0.603
0.182 0.673 0.103
0.183 0.183 0.104
0.321 0.321 0.876
0.325 0.887 0.867
0.366 0.366 0.361
0.376 0.800 0.364
0.504 0.015 0.607
0.518 0.518 0.607
0.673 0.182 0.103
0.680 0.680 0.101
0.800 0.376 0.364
0.832 0.832 0.890
0.836 0.836 0.389
0.887 0.325 0.867
```

Values from the calculation:
mass density: 4417 kg/m³
symmetry: Cm, No. 8
E: -7.18 eV/atom



## Mn3V2Co3O16 (GGA+U)

Data for a relaxed structure of Mn3V2Co3O16.

Geometry as POSCAR:
```
Mn3V2Co3O16
1.0
4.927 -2.856 0.000
4.927 2.856 0.000
-0.133 0.000 8.833
Mn V Co O
3 2 3 16
Direct
0.000 0.000 0.000
0.340 0.828 0.501
0.828 0.340 0.501
0.497 0.497 0.788
0.830 0.830 0.286
0.339 0.339 0.499
0.512 0.996 0.999
0.996 0.512 0.999
0.125 0.693 0.125
0.170 0.170 0.603
0.175 0.175 0.098
0.214 0.643 0.625
0.340 0.340 0.884
0.343 0.821 0.883
0.502 0.502 0.389
0.514 0.996 0.382
0.643 0.214 0.625
0.651 0.651 0.626
0.692 0.692 0.123
0.693 0.125 0.125
0.821 0.343 0.883
0.831 0.831 0.892
0.996 0.514 0.382
0.997 0.997 0.381
```

Values from the calculation:
mass density: 4672 kg/m³
symmetry: Cm, No. 8
E: -6.70 eV/atom
total moment: 16.01 μB/cell



## NaCo2Mo2O10 (GGA+U)

Data for a relaxed structure of NaCo2Mo2O10.

Geometry as POSCAR:
```
NaCo2Mo2O10
1.0
5.796 0.000 0.000
-2.783 5.122 0.000
-2.523 -1.861 7.170
Na Co Mo O
1 2 2 10
Direct
0.000 0.000 0.000
0.000 0.000 0.500
0.500 0.500 0.500
0.192 0.569 0.763
0.808 0.431 0.237
0.044 0.213 0.746
0.053 0.340 0.399
0.270 0.721 0.987
0.402 0.203 0.577
0.470 0.305 0.262
0.530 0.695 0.738
0.598 0.797 0.423
0.730 0.279 0.013
0.947 0.660 0.601
0.956 0.787 0.254
```

Values from the calculation:
mass density: 3845 kg/m³
symmetry: P-1, No. 2
E: -6.28 eV/atom
total moment: 6.99 μB/cell



## NaCo2Mo2O10 (GGA+U)

Data for a relaxed structure of NaCo2Mo2O10.

Geometry as POSCAR:
```
NaCo2Mo2O10
1.0
4.997 -2.957 0.000
4.997 2.957 0.000
-3.698 0.000 7.213
Na Co Mo O
1 2 2 10
Direct
0.000 0.000 0.000
0.000 0.500 0.500
0.500 0.000 0.500
0.429 0.429 0.235
0.571 0.571 0.765
0.189 0.189 0.577
0.211 0.700 0.743
0.282 0.282 0.012
0.300 0.789 0.257
0.342 0.342 0.399
0.658 0.658 0.601
0.700 0.211 0.743
0.718 0.718 0.988
0.789 0.300 0.257
0.811 0.811 0.423
```

Values from the calculation:
mass density: 3839 kg/m³
symmetry: C2/m, No. 12
E: -6.29 eV/atom
total moment: 5.00 μB/cell



## CoMo3O18 (GGA+U)

Data for a relaxed structure of CoMo3O18.

Geometry as POSCAR:
```
CoMo3O18
1.0
11.186 0.000 0.000
0.000 19.965 0.000
-2.285 0.000 7.430
Co Mo O
4 12 72
Direct
0.221 0.010 0.240
0.221 0.490 0.740
0.779 0.510 0.260
0.779 0.990 0.760
0.217 0.731 0.636
0.217 0.769 0.136
0.376 0.642 0.414
0.376 0.858 0.914
0.465 0.236 0.273
0.465 0.264 0.773
0.535 0.736 0.227
0.535 0.764 0.727
0.624 0.142 0.086
0.624 0.358 0.586
0.783 0.231 0.864
0.783 0.269 0.364
0.033 0.213 0.550
0.033 0.287 0.050
0.081 0.695 0.013
0.081 0.805 0.513
0.106 0.072 0.140
0.106 0.428 0.640
0.108 0.670 0.603
0.108 0.830 0.103
0.123 0.532 0.550
0.123 0.968 0.050
0.169 0.524 0.918
0.169 0.976 0.418
0.231 0.740 0.368
0.231 0.760 0.868
0.242 0.595 0.346
0.242 0.905 0.846
0.250 0.166 0.760
0.250 0.334 0.260
0.276 0.047 0.071
0.276 0.453 0.571
0.309 0.052 0.441
0.309 0.448 0.941
0.339 0.172 0.694
0.339 0.328 0.194
0.339 0.549 0.836
0.339 0.951 0.336
0.345 0.181 0.244
0.345 0.319 0.744
0.366 0.680 0.654
0.366 0.820 0.154
0.377 0.682 0.180
0.377 0.818 0.680
0.495 0.235 0.028
0.495 0.265 0.528
0.497 0.585 0.474
0.497 0.915 0.974
0.503 0.085 0.026
0.503 0.415 0.526
0.505 0.735 0.472
0.505 0.765 0.972
0.623 0.182 0.320
0.623 0.318 0.820
0.634 0.180 0.846
0.634 0.320 0.346
0.655 0.681 0.256
0.655 0.819 0.756
0.661 0.049 0.664
0.661 0.451 0.164
0.661 0.672 0.806
0.661 0.828 0.306
0.691 0.552 0.059
0.691 0.948 0.559
0.724 0.547 0.429
0.724 0.953 0.929
0.750 0.666 0.740
0.750 0.834 0.240
0.758 0.095 0.154
0.758 0.405 0.654
0.769 0.240 0.132
0.769 0.260 0.632
0.831 0.024 0.582
0.831 0.476 0.082
0.877 0.032 0.950
0.877 0.468 0.450
0.892 0.170 0.897
0.892 0.330 0.397
0.894 0.572 0.360
0.894 0.928 0.860
0.919 0.195 0.487
0.919 0.305 0.987
0.967 0.713 0.950
0.967 0.787 0.450
```

Values from the calculation:
mass density: 2541 kg/m³
symmetry: P2_1/c, No. 14
E: -5.64 eV/atom
total moment: 52.00 μB/cell



## CoMoO4 (GGA+U)

Data for a relaxed structure of CoMoO4.

Geometry as POSCAR:
```
CoMoO4
1.0
4.880 -4.493 0.000
4.880 4.493 0.000
-3.168 0.000 7.145
Co Mo O
4 4 16
Direct
0.189 0.811 0.000
0.190 0.190 0.341
0.810 0.810 0.659
0.811 0.189 0.000
0.215 0.785 0.500
0.216 0.216 0.858
0.784 0.784 0.142
0.785 0.215 0.500
0.148 0.847 0.262
0.150 0.150 0.059
0.152 0.152 0.585
0.153 0.852 0.738
0.180 0.509 0.424
0.184 0.492 0.919
0.491 0.820 0.576
0.492 0.184 0.919
0.508 0.816 0.081
0.509 0.180 0.424
0.816 0.508 0.081
0.820 0.491 0.576
0.847 0.148 0.262
0.848 0.848 0.415
0.850 0.850 0.941
0.852 0.153 0.738
```

Values from the calculation:
mass density: 4640 kg/m³
symmetry: C2/m, No. 12
E: -6.73 eV/atom



## Co4Mo3O12 (GGA+U)

Data for a relaxed structure of Co4Mo3O12.

Geometry as POSCAR:
```
Co4Mo3O12
1.0
5.165 0.000 0.000
0.000 10.572 0.000
0.000 0.000 17.939
Co Mo O
16 12 48
Direct
0.102 0.250 0.250
0.245 0.250 0.697
0.246 0.574 0.025
0.246 0.926 0.025
0.254 0.074 0.525
0.254 0.426 0.525
0.255 0.750 0.197
0.398 0.750 0.750
0.602 0.250 0.250
0.745 0.250 0.803
0.746 0.574 0.475
0.746 0.926 0.475
0.754 0.074 0.975
0.754 0.426 0.975
0.755 0.750 0.303
0.898 0.750 0.750
0.205 0.750 0.558
0.218 0.030 0.844
0.218 0.470 0.844
0.282 0.530 0.344
0.282 0.970 0.344
0.295 0.250 0.058
0.705 0.750 0.942
0.718 0.030 0.656
0.718 0.470 0.656
0.782 0.530 0.156
0.782 0.970 0.156
0.795 0.250 0.442
0.066 0.250 0.513
0.068 0.622 0.127
0.068 0.878 0.127
0.074 0.629 0.283
0.074 0.871 0.283
0.078 0.009 0.425
0.078 0.491 0.425
0.080 0.108 0.037
0.080 0.392 0.037
0.150 0.616 0.795
0.150 0.884 0.795
0.151 0.750 0.659
0.349 0.250 0.159
0.350 0.116 0.295
0.350 0.384 0.295
0.420 0.608 0.537
0.420 0.892 0.537
0.422 0.509 0.925
0.422 0.991 0.925
0.426 0.129 0.783
0.426 0.371 0.783
0.432 0.122 0.627
0.432 0.378 0.627
0.434 0.750 0.013
0.566 0.250 0.987
0.568 0.622 0.373
0.568 0.878 0.373
0.574 0.629 0.217
0.574 0.871 0.217
0.578 0.009 0.075
0.578 0.491 0.075
0.580 0.108 0.463
0.580 0.392 0.463
0.650 0.616 0.705
0.650 0.884 0.705
0.651 0.750 0.841
0.849 0.250 0.341
0.850 0.116 0.205
0.850 0.384 0.205
0.920 0.608 0.963
0.920 0.892 0.963
0.922 0.509 0.575
0.922 0.991 0.575
0.926 0.129 0.717
0.926 0.371 0.717
0.932 0.122 0.873
0.932 0.378 0.873
0.934 0.750 0.487
```

Values from the calculation:
mass density: 4852 kg/m³
symmetry: Pnma, No. 62
E: -6.39 eV/atom
total moment: 5.02 μB/cell